[1]
Material: YB7Mo3
Method: DFT, PBE
State: optimized geometry

Cell: 11.0428 3.1105 12.9190 Å, 90.00 90.00 90.00°
Positions (direct):
Y 0.0511 0.2500 0.1918
Y 0.4489 0.7500 0.6918
Y 0.5511 0.2500 0.3082
Y 0.9489 0.7500 0.8082
B 0.0106 0.7500 0.3628
B 0.0375 0.7500 0.0180
B 0.0679 0.7500 0.6161
B 0.1663 0.7500 0.3332
B 0.1865 0.7500 0.0666
B 0.2303 0.7500 0.5819
B 0.2492 0.7500 0.8265
B 0.2508 0.2500 0.3265
B 0.2697 0.2500 0.0819
B 0.3135 0.2500 0.5666
B 0.3337 0.2500 0.8332
B 0.4321 0.2500 0.1161
B 0.4625 0.2500 0.5180
B 0.4894 0.2500 0.8628
B 0.5105 0.7500 0.1372
B 0.5375 0.7500 0.4820
B 0.5679 0.7500 0.8839
B 0.6663 0.7500 0.1668
B 0.6865 0.7500 0.4334
B 0.7303 0.7500 0.9181
B 0.7492 0.7500 0.6735
B 0.7508 0.2500 0.1735
B 0.7697 0.2500 0.4181
B 0.8135 0.2500 0.9334
B 0.8337 0.2500 0.6668
B 0.9321 0.2500 0.3839
B 0.9625 0.2500 0.9820
B 0.9894 0.2500 0.6372
Mo 0.1175 0.2500 0.4730
Mo 0.1602 0.2500 0.9361
Mo 0.1846 0.2500 0.7021
Mo 0.3154 0.7500 0.2021
Mo 0.3398 0.7500 0.4361
Mo 0.3825 0.7500 0.9730
Mo 0.6175 0.2500 0.0270
Mo 0.6602 0.2500 0.5639
Mo 0.6846 0.2500 0.7979
Mo 0.8154 0.7500 0.2979
Mo 0.8398 0.7500 0.0639
Mo 0.8825 0.7500 0.5270

Mass density = 6.77 g cm⁻³
E = -367.470 eV/cell
Symmetry = No. 62

[2]
Material: Zr9BMo4
Method: DFT, PBE
State: optimized geometry

Cell: 8.6417 8.6417 8.6128 Å, 90.00 90.00 120.00°
Positions (direct):
Zr 0.0769 0.5385 0.2500
Zr 0.2031 0.4062 0.5561
Zr 0.2031 0.4062 0.9439
Zr 0.2031 0.7969 0.5561
Zr 0.2031 0.7969 0.9439
Zr 0.4062 0.2031 0.0561
Zr 0.4062 0.2031 0.4439
Zr 0.4615 0.5385 0.2500
Zr 0.4615 0.9231 0.2500
Zr 0.5385 0.0769 0.7500
Zr 0.5385 0.4615 0.7500
Zr 0.5938 0.7969 0.5561
Zr 0.5938 0.7969 0.9439
Zr 0.7969 0.2031 0.0561
Zr 0.7969 0.2031 0.4439
Zr 0.7969 0.5938 0.0561
Zr 0.7969 0.5938 0.4439
Zr 0.9231 0.4615 0.7500
B 0.3333 0.6667 0.7500
B 0.6667 0.3333 0.2500
Mo 0.0000 0.0000 0.0000
Mo 0.0000 0.0000 0.5000
Mo 0.1101 0.2202 0.2500
Mo 0.1101 0.8899 0.2500
Mo 0.2202 0.1101 0.7500
Mo 0.7798 0.8899 0.2500
Mo 0.8899 0.1101 0.7500
Mo 0.8899 0.7798 0.7500

Mass density = 7.25 g cm⁻³
E = -257.567 eV/cell
Symmetry = No. 194